# PBE-GGA Y3Mg2Si3O13, optimized geometry
# Magnetization (μB per cell): 2.0
# Symmetry: P6_3/m
data_Y3Mg2Si3O13
_chemical_formula_sum 'Y6 Mg4 Si6 O26'
_space_group_name_H-M_alt 'P 1'
_space_group_IT_number 1
_cell_length_a 9.455
_cell_length_b 9.455
_cell_length_c 6.614
_cell_angle_alpha 90.00
_cell_angle_beta 90.00
_cell_angle_gamma 120.00
loop_
_space_group_symop_operation_xyz
'x,y,z'
loop_
_atom_site_label
_atom_site_type_symbol
_atom_site_fract_x
_atom_site_fract_y
_atom_site_fract_z
Y1 Y 0.005 0.246 0.250
Y2 Y 0.241 0.995 0.250
Y3 Y 0.246 0.241 0.750
Y4 Y 0.754 0.759 0.250
Y5 Y 0.759 0.005 0.750
Y6 Y 0.995 0.754 0.750
Mg1 Mg 0.333 0.667 0.517
Mg2 Mg 0.333 0.667 0.983
Mg3 Mg 0.667 0.333 0.017
Mg4 Mg 0.667 0.333 0.483
Si1 Si 0.025 0.623 0.250
Si2 Si 0.377 0.402 0.250
Si3 Si 0.402 0.025 0.750
Si4 Si 0.598 0.975 0.250
Si5 Si 0.623 0.598 0.750
Si6 Si 0.975 0.377 0.750
O1 O 0.000 0.000 0.250
O2 O 0.000 0.000 0.750
O3 O 0.083 0.753 0.060
O4 O 0.083 0.753 0.440
O5 O 0.135 0.533 0.250
O6 O 0.172 0.502 0.750
O7 O 0.247 0.331 0.060
O8 O 0.247 0.331 0.440
O9 O 0.330 0.828 0.750
O10 O 0.331 0.083 0.560
O11 O 0.331 0.083 0.940
O12 O 0.398 0.865 0.250
O13 O 0.467 0.602 0.250
O14 O 0.498 0.670 0.750
O15 O 0.502 0.330 0.250
O16 O 0.533 0.398 0.750
O17 O 0.602 0.135 0.750
O18 O 0.669 0.917 0.060
O19 O 0.669 0.917 0.440
O20 O 0.670 0.172 0.250
O21 O 0.753 0.669 0.560
O22 O 0.753 0.669 0.940
O23 O 0.828 0.498 0.250
O24 O 0.865 0.467 0.750
O25 O 0.917 0.247 0.560
O26 O 0.917 0.247 0.940

---

# PBE-GGA KCNO, optimized geometry
# Symmetry: Ima2
data_KCNO
_chemical_formula_sum 'K2 C2 N2 O2'
_space_group_name_H-M_alt 'P 1'
_space_group_IT_number 1
_cell_length_a 5.638
_cell_length_b 5.638
_cell_length_c 5.638
_cell_angle_alpha 101.20
_cell_angle_beta 113.94
_cell_angle_gamma 113.58
loop_
_space_group_symop_operation_xyz
'x,y,z'
loop_
_atom_site_label
_atom_site_type_symbol
_atom_site_fract_x
_atom_site_fract_y
_atom_site_fract_z
K1 K 0.000 0.000 0.000
K2 K 0.000 0.500 0.500
C1 C 0.493 0.246 0.747
C2 C 0.499 0.746 0.253
N1 N 0.218 0.107 0.611
N2 N 0.496 0.607 0.389
O1 O 0.497 0.886 0.110
O2 O 0.776 0.386 0.890

---

# PBE-GGA Sr2DyBiO6, optimized geometry
# Magnetization (μB per cell): 0.0
# Symmetry: P2_1/c
data_Sr2DyBiO6
_chemical_formula_sum 'Sr4 Dy2 Bi2 O12'
_space_group_name_H-M_alt 'P 1'
_space_group_IT_number 1
_cell_length_a 5.938
_cell_length_b 6.101
_cell_length_c 10.354
_cell_angle_alpha 90.00
_cell_angle_beta 124.94
_cell_angle_gamma 90.00
loop_
_space_group_symop_operation_xyz
'x,y,z'
loop_
_atom_site_label
_atom_site_type_symbol
_atom_site_fract_x
_atom_site_fract_y
_atom_site_fract_z
Sr1 Sr 0.235 0.047 0.248
Sr2 Sr 0.235 0.453 0.748
Sr3 Sr 0.765 0.547 0.252
Sr4 Sr 0.765 0.953 0.752
Dy1 Dy 0.000 0.000 0.500
Dy2 Dy 0.000 0.500 0.000
Bi1 Bi 0.500 0.000 0.000
Bi2 Bi 0.500 0.500 0.500
O1 O 0.165 0.200 0.954
O2 O 0.165 0.300 0.454
O3 O 0.249 0.714 0.948
O4 O 0.249 0.786 0.448
O5 O 0.349 0.035 0.757
O6 O 0.349 0.465 0.257
O7 O 0.651 0.535 0.743
O8 O 0.651 0.965 0.243
O9 O 0.751 0.214 0.552
O10 O 0.751 0.286 0.052
O11 O 0.835 0.700 0.546
O12 O 0.835 0.800 0.046

---

# PBE-GGA Na2ZrSiO5, optimized geometry
# Magnetization (μB per cell): 0.0
# Symmetry: P2_1/c
data_Na2ZrSiO5
_chemical_formula_sum 'Na16 Zr8 Si8 O40'
_space_group_name_H-M_alt 'P 1'
_space_group_IT_number 1
_cell_length_a 14.032
_cell_length_b 5.539
_cell_length_c 13.859
_cell_angle_alpha 90.00
_cell_angle_beta 119.32
_cell_angle_gamma 90.00
loop_
_space_group_symop_operation_xyz
'x,y,z'
loop_
_atom_site_label
_atom_site_type_symbol
_atom_site_fract_x
_atom_site_fract_y
_atom_site_fract_z
Na1 Na 0.077 0.235 0.147
Na2 Na 0.077 0.265 0.647
Na3 Na 0.181 0.737 0.829
Na4 Na 0.181 0.763 0.329
Na5 Na 0.318 0.242 0.148
Na6 Na 0.318 0.258 0.648
Na7 Na 0.422 0.734 0.068
Na8 Na 0.422 0.766 0.568
Na9 Na 0.578 0.234 0.432
Na10 Na 0.578 0.266 0.932
Na11 Na 0.682 0.742 0.352
Na12 Na 0.682 0.758 0.852
Na13 Na 0.819 0.237 0.671
Na14 Na 0.819 0.263 0.171
Na15 Na 0.923 0.735 0.353
Na16 Na 0.923 0.765 0.853
Zr1 Zr 0.065 0.236 0.872
Zr2 Zr 0.065 0.264 0.372
Zr3 Zr 0.435 0.739 0.807
Zr4 Zr 0.435 0.761 0.307
Zr5 Zr 0.565 0.239 0.693
Zr6 Zr 0.565 0.261 0.193
Zr7 Zr 0.935 0.736 0.628
Zr8 Zr 0.935 0.764 0.128
Si1 Si 0.159 0.721 0.067
Si2 Si 0.159 0.779 0.567
Si3 Si 0.341 0.225 0.909
Si4 Si 0.341 0.275 0.409
Si5 Si 0.659 0.725 0.591
Si6 Si 0.659 0.775 0.091
Si7 Si 0.841 0.221 0.433
Si8 Si 0.841 0.279 0.933
O1 O 0.002 0.527 0.770
O2 O 0.002 0.973 0.270
O3 O 0.089 0.700 0.629
O4 O 0.089 0.800 0.129
O5 O 0.124 0.599 0.461
O6 O 0.124 0.901 0.961
O7 O 0.135 0.067 0.529
O8 O 0.135 0.433 0.029
O9 O 0.210 0.223 0.361
O10 O 0.210 0.277 0.861
O11 O 0.291 0.750 0.151
O12 O 0.291 0.750 0.651
O13 O 0.359 0.564 0.390
O14 O 0.359 0.936 0.890
O15 O 0.382 0.097 0.342
O16 O 0.382 0.403 0.842
O17 O 0.411 0.211 0.542
O18 O 0.411 0.289 0.042
O19 O 0.493 0.034 0.765
O20 O 0.493 0.466 0.265
O21 O 0.507 0.534 0.735
O22 O 0.507 0.966 0.235
O23 O 0.589 0.711 0.958
O24 O 0.589 0.789 0.458
O25 O 0.618 0.597 0.158
O26 O 0.618 0.903 0.658
O27 O 0.641 0.064 0.110
O28 O 0.641 0.436 0.610
O29 O 0.709 0.250 0.349
O30 O 0.709 0.250 0.849
O31 O 0.790 0.723 0.139
O32 O 0.790 0.777 0.639
O33 O 0.865 0.567 0.971
O34 O 0.865 0.933 0.471
O35 O 0.876 0.099 0.039
O36 O 0.876 0.401 0.539
O37 O 0.911 0.200 0.871
O38 O 0.911 0.300 0.371
O39 O 0.998 0.027 0.730
O40 O 0.998 0.473 0.230

---

no.,calculated total energy (eV per cell),energy of formation (eV/atom)
1,-330.021,-3.37
2,-55.081,-1.15
3,-132.040,-2.86
4,-525.099,-3.08